(1)
Here is a relaxed structure of NaMg3P3H2O12 from Materials Project. Energies are from PBE.

Computed properties:
Crystal system = monoclinic

abc: 6.562 8.528 8.528
angles: 91.07 106.53 106.53
Positions (direct):
Na  0.750  0.025  0.975
Na  0.250  0.975  0.025
Mg  0.250  0.276  0.724
Mg  0.750  0.724  0.276
Mg  0.126  0.375  0.050
Mg  0.374  0.950  0.625
Mg  0.874  0.625  0.950
Mg  0.626  0.050  0.375
P  0.250  0.684  0.316
P  0.750  0.316  0.684
P  0.113  0.105  0.328
P  0.387  0.672  0.895
P  0.887  0.895  0.672
P  0.613  0.328  0.105
H  0.196  0.374  0.391
H  0.304  0.609  0.626
H  0.804  0.626  0.609
H  0.696  0.391  0.374
O  0.037  0.721  0.204
O  0.463  0.796  0.279
O  0.963  0.279  0.796
O  0.537  0.204  0.721
O  0.236  0.501  0.283
O  0.264  0.717  0.499
O  0.764  0.499  0.717
O  0.736  0.283  0.501
O  0.888  0.982  0.326
O  0.612  0.674  0.018
O  0.112  0.018  0.674
O  0.388  0.326  0.982
O  0.159  0.266  0.452
O  0.341  0.548  0.734
O  0.841  0.734  0.548
O  0.659  0.452  0.266
O  0.308  0.035  0.394
O  0.192  0.606  0.965
O  0.692  0.965  0.606
O  0.808  0.394  0.035
O  0.099  0.158  0.155
O  0.401  0.845  0.842
O  0.901  0.842  0.845
O  0.599  0.155  0.158

(2)
Here is a relaxed structure of Na2MgP4H12O18 from Materials Project. Energies are from PBE.

Computed properties:
Total magnetization = 0.0 μB per formula unit
Crystal system = monoclinic

abc: 11.566 8.232 9.147
angles: 66.14 90.00 90.00
Positions (direct):
Na  0.750  0.757  0.915
Na  0.250  0.243  0.085
Na  0.750  0.010  0.444
Na  0.250  0.990  0.556
Mg  0.250  0.528  0.736
Mg  0.750  0.472  0.264
P  0.510  0.703  0.646
P  0.010  0.297  0.354
P  0.490  0.297  0.354
P  0.990  0.703  0.646
P  0.500  0.311  0.833
P  0.000  0.689  0.167
P  0.500  0.689  0.167
P  0.000  0.311  0.833
H  0.508  0.748  0.870
H  0.008  0.252  0.130
H  0.492  0.252  0.130
H  0.992  0.748  0.870
H  0.486  0.179  0.664
H  0.986  0.821  0.336
H  0.514  0.821  0.336
H  0.014  0.179  0.664
H  0.682  0.384  0.018
H  0.182  0.616  0.982
H  0.318  0.616  0.982
H  0.818  0.384  0.018
H  0.682  0.101  0.714
H  0.182  0.899  0.286
H  0.318  0.899  0.286
H  0.818  0.101  0.714
H  0.683  0.061  0.122
H  0.183  0.939  0.878
H  0.317  0.939  0.878
H  0.817  0.061  0.122
H  0.317  0.424  0.506
H  0.817  0.576  0.494
H  0.683  0.576  0.494
H  0.183  0.424  0.506
O  0.565  0.754  0.781
O  0.065  0.246  0.219
O  0.435  0.246  0.219
O  0.935  0.754  0.781
O  0.549  0.495  0.695
O  0.049  0.505  0.305
O  0.451  0.505  0.305
O  0.951  0.495  0.695
O  0.380  0.717  0.645
O  0.880  0.283  0.355
O  0.620  0.283  0.355
O  0.120  0.717  0.645
O  0.576  0.800  0.492
O  0.076  0.200  0.508
O  0.424  0.200  0.508
O  0.924  0.800  0.492
O  0.532  0.170  0.764
O  0.032  0.830  0.236
O  0.468  0.830  0.236
O  0.968  0.170  0.764
O  0.569  0.268  0.986
O  0.069  0.732  0.014
O  0.431  0.732  0.014
O  0.931  0.268  0.986
O  0.372  0.331  0.849
O  0.872  0.669  0.151
O  0.628  0.669  0.151
O  0.128  0.331  0.849
O  0.750  0.443  0.041
O  0.250  0.557  0.959
O  0.750  0.034  0.704
O  0.250  0.966  0.296
O  0.750  0.010  0.190
O  0.250  0.990  0.810
O  0.250  0.485  0.526
O  0.750  0.515  0.474

(3)
Here is a relaxed structure of NaMgP3H8O10 from Materials Project. Energies are from PBE.

Computed properties:
Total magnetization = 0.0 μB per formula unit
Crystal system = orthorhombic

abc: 9.149 14.843 14.964
angles: 90.00 90.00 90.00
Positions (direct):
Na  0.563  0.066  0.341
Na  0.937  0.066  0.841
Na  0.063  0.434  0.341
Na  0.437  0.434  0.841
Na  0.563  0.566  0.159
Na  0.937  0.566  0.659
Na  0.063  0.934  0.159
Na  0.437  0.934  0.659
Mg  0.948  0.046  0.340
Mg  0.552  0.046  0.840
Mg  0.448  0.454  0.340
Mg  0.052  0.454  0.840
Mg  0.552  0.546  0.660
Mg  0.948  0.546  0.160
Mg  0.052  0.954  0.660
Mg  0.448  0.954  0.160
P  0.726  0.008  0.030
P  0.774  0.008  0.530
P  0.238  0.119  0.224
P  0.262  0.119  0.724
P  0.966  0.238  0.469
P  0.534  0.238  0.969
P  0.034  0.262  0.969
P  0.466  0.262  0.469
P  0.738  0.381  0.224
P  0.762  0.381  0.724
P  0.226  0.492  0.030
P  0.274  0.492  0.530
P  0.774  0.508  0.970
P  0.726  0.508  0.470
P  0.238  0.619  0.276
P  0.262  0.619  0.776
P  0.534  0.738  0.531
P  0.966  0.738  0.031
P  0.034  0.762  0.531
P  0.466  0.762  0.031
P  0.738  0.881  0.276
P  0.762  0.881  0.776
P  0.274  0.992  0.970
P  0.226  0.992  0.470
H  0.255  0.084  0.459
H  0.245  0.084  0.959
H  0.585  0.102  0.533
H  0.915  0.102  0.033
H  0.801  0.101  0.198
H  0.699  0.101  0.698
H  0.518  0.141  0.078
H  0.982  0.141  0.578
H  0.228  0.161  0.140
H  0.272  0.161  0.640
H  0.787  0.183  0.267
H  0.713  0.183  0.767
H  0.153  0.197  0.337
H  0.347  0.197  0.837
H  0.812  0.237  0.469
H  0.688  0.237  0.969
H  0.312  0.263  0.469
H  0.188  0.263  0.969
H  0.653  0.303  0.337
H  0.847  0.303  0.837
H  0.287  0.317  0.267
H  0.213  0.317  0.767
H  0.728  0.339  0.140
H  0.772  0.339  0.640
H  0.018  0.359  0.078
H  0.482  0.359  0.578
H  0.301  0.399  0.198
H  0.199  0.399  0.698
H  0.415  0.398  0.033
H  0.085  0.398  0.533
H  0.755  0.416  0.459
H  0.745  0.416  0.959
H  0.245  0.584  0.541
H  0.255  0.584  0.041
H  0.585  0.602  0.967
H  0.915  0.602  0.467
H  0.699  0.601  0.802
H  0.801  0.601  0.302
H  0.982  0.641  0.922
H  0.518  0.641  0.422
H  0.228  0.661  0.360
H  0.272  0.661  0.860
H  0.713  0.683  0.733
H  0.787  0.683  0.233
H  0.153  0.697  0.163
H  0.347  0.697  0.663
H  0.688  0.737  0.531
H  0.812  0.737  0.031
H  0.188  0.763  0.531
H  0.312  0.763  0.031
H  0.653  0.803  0.163
H  0.847  0.803  0.663
H  0.213  0.817  0.733
H  0.287  0.817  0.233
H  0.728  0.839  0.360
H  0.772  0.839  0.860
H  0.482  0.859  0.922
H  0.018  0.859  0.422
H  0.199  0.899  0.802
H  0.301  0.899  0.302
H  0.085  0.898  0.967
H  0.415  0.898  0.467
H  0.745  0.916  0.541
H  0.755  0.916  0.041
O  0.779  0.031  0.431
O  0.721  0.031  0.931
O  0.590  0.031  0.085
O  0.910  0.031  0.585
O  0.866  0.055  0.075
O  0.634  0.055  0.575
O  0.100  0.064  0.240
O  0.400  0.064  0.740
O  0.383  0.070  0.229
O  0.117  0.070  0.729
O  0.788  0.116  0.262
O  0.712  0.116  0.762
O  0.521  0.166  0.459
O  0.979  0.166  0.959
O  0.016  0.173  0.396
O  0.484  0.173  0.896
O  0.241  0.201  0.294
O  0.259  0.201  0.794
O  0.014  0.204  0.565
O  0.486  0.204  0.065
O  0.514  0.296  0.565
O  0.986  0.296  0.065
O  0.741  0.299  0.294
O  0.759  0.299  0.794
O  0.516  0.327  0.396
O  0.984  0.327  0.896
O  0.021  0.334  0.459
O  0.479  0.334  0.959
O  0.288  0.384  0.262
O  0.212  0.384  0.762
O  0.617  0.430  0.729
O  0.883  0.430  0.229
O  0.600  0.436  0.240
O  0.900  0.436  0.740
O  0.366  0.445  0.075
O  0.134  0.445  0.575
O  0.090  0.469  0.085
O  0.410  0.469  0.585
O  0.279  0.469  0.431
O  0.221  0.469  0.931
O  0.779  0.531  0.069
O  0.721  0.531  0.569
O  0.590  0.531  0.415
O  0.910  0.531  0.915
O  0.634  0.555  0.925
O  0.866  0.555  0.425
O  0.100  0.564  0.260
O  0.400  0.564  0.760
O  0.117  0.570  0.771
O  0.383  0.570  0.271
O  0.712  0.616  0.738
O  0.788  0.616  0.238
O  0.521  0.666  0.041
O  0.979  0.666  0.541
O  0.016  0.673  0.104
O  0.484  0.673  0.604
O  0.241  0.701  0.206
O  0.259  0.701  0.706
O  0.014  0.704  0.935
O  0.486  0.704  0.435
O  0.514  0.796  0.935
O  0.986  0.796  0.435
O  0.741  0.799  0.206
O  0.759  0.799  0.706
O  0.516  0.827  0.104
O  0.984  0.827  0.604
O  0.021  0.834  0.041
O  0.479  0.834  0.541
O  0.212  0.884  0.738
O  0.288  0.884  0.238
O  0.617  0.930  0.771
O  0.883  0.930  0.271
O  0.600  0.936  0.260
O  0.900  0.936  0.760
O  0.134  0.945  0.925
O  0.366  0.945  0.425
O  0.410  0.969  0.915
O  0.090  0.969  0.415
O  0.221  0.969  0.569
O  0.279  0.969  0.069

(4)
Here is a relaxed structure of NaMgPH12O11 from Materials Project. Energies are from PBE.

Computed properties:
Total magnetization = 1.7 μB per formula unit
Crystal system = tetragonal

abc: 6.859 6.859 10.941
angles: 90.00 90.00 90.00
Positions (direct):
Na  0.500  0.500  0.500
Na  0.500  0.500  0.000
Mg  0.500  0.000  0.500
Mg  0.000  0.500  0.000
P  0.000  0.000  0.750
P  0.000  0.000  0.250
H  0.192  0.218  0.571
H  0.808  0.782  0.571
H  0.782  0.192  0.071
H  0.218  0.808  0.071
H  0.808  0.218  0.429
H  0.192  0.782  0.429
H  0.218  0.192  0.929
H  0.782  0.808  0.929
H  0.808  0.782  0.429
H  0.192  0.218  0.429
H  0.218  0.808  0.929
H  0.782  0.192  0.929
H  0.192  0.782  0.571
H  0.808  0.218  0.571
H  0.782  0.808  0.071
H  0.218  0.192  0.071
H  0.382  0.000  0.743
H  0.618  0.000  0.743
H  0.000  0.382  0.243
H  0.000  0.618  0.243
H  0.618  0.000  0.257
H  0.382  0.000  0.257
H  0.000  0.382  0.757
H  0.000  0.618  0.757
O  0.186  0.000  0.831
O  0.814  0.000  0.831
O  0.000  0.186  0.331
O  0.000  0.814  0.331
O  0.814  0.000  0.169
O  0.186  0.000  0.169
O  0.000  0.186  0.669
O  0.000  0.814  0.669
O  0.284  0.226  0.500
O  0.716  0.774  0.500
O  0.774  0.284  0.000
O  0.226  0.716  0.000
O  0.716  0.226  0.500
O  0.284  0.774  0.500
O  0.226  0.284  0.000
O  0.774  0.716  0.000
O  0.500  0.000  0.688
O  0.000  0.500  0.188
O  0.500  0.000  0.312
O  0.000  0.500  0.812
O  0.500  0.500  0.750
O  0.500  0.500  0.250

(5)
Here is a relaxed structure of Na3MgP2HO8 from Materials Project. Energies are from PBE.

Computed properties:
Crystal system = triclinic

abc: 5.224 5.285 6.895
angles: 90.43 91.74 117.60
Positions (direct):
Na  0.664  0.300  0.791
Na  0.336  0.700  0.209
Na  0.000  0.000  0.500
Mg  0.000  0.000  0.000
P  0.661  0.353  0.244
P  0.339  0.647  0.756
H  0.000  0.500  0.500
O  0.787  0.215  0.105
O  0.213  0.785  0.895
O  0.787  0.678  0.209
O  0.213  0.322  0.791
O  0.755  0.319  0.459
O  0.245  0.681  0.541
O  0.673  0.796  0.774
O  0.327  0.204  0.226

(6)
Here is a relaxed structure of Na2MgH8S2O12 from Materials Project. Energies are from PBE.

Computed properties:
Crystal system = monoclinic

abc: 8.366 5.563 11.224
angles: 79.69 90.00 90.00
Positions (direct):
Na  0.428  0.123  0.139
Na  0.072  0.123  0.639
Na  0.928  0.877  0.361
Na  0.572  0.877  0.861
Mg  0.000  0.000  0.000
Mg  0.500  0.000  0.500
H  0.448  0.236  0.682
H  0.776  0.239  0.484
H  0.863  0.228  0.155
H  0.724  0.239  0.984
H  0.363  0.772  0.345
H  0.698  0.330  0.359
H  0.552  0.764  0.318
H  0.948  0.764  0.818
H  0.224  0.761  0.516
H  0.052  0.236  0.182
H  0.802  0.330  0.859
H  0.198  0.670  0.141
H  0.302  0.670  0.641
H  0.276  0.761  0.016
H  0.637  0.228  0.655
H  0.137  0.772  0.845
S  0.209  0.376  0.364
S  0.791  0.624  0.636
S  0.291  0.376  0.864
S  0.709  0.624  0.136
O  0.422  0.219  0.921
O  0.177  0.639  0.373
O  0.464  0.870  0.338
O  0.922  0.781  0.579
O  0.964  0.130  0.162
O  0.221  0.362  0.232
O  0.779  0.638  0.768
O  0.677  0.361  0.127
O  0.823  0.361  0.627
O  0.721  0.638  0.268
O  0.036  0.870  0.838
O  0.323  0.639  0.873
O  0.578  0.781  0.079
O  0.078  0.219  0.421
O  0.864  0.695  0.075
O  0.536  0.130  0.662
O  0.711  0.181  0.422
O  0.279  0.362  0.732
O  0.211  0.819  0.078
O  0.289  0.819  0.578
O  0.636  0.695  0.575
O  0.364  0.305  0.425
O  0.136  0.305  0.925
O  0.789  0.181  0.922

| no. | DFT formation energy (meV/atom) |
| --- | --- |
| 1 | -2720.0 |
| 2 | -2035.7 |
| 3 | -1882.6 |
| 4 | -1563.5 |
| 5 | -2609.6 |
| 6 | -1818.5 |